Run i
Li2V2Si3O9: optimized geometry, GGA+U.

Geometry as CIF:
```
data_Li2V2Si3O9
_chemical_formula_sum 'Li12 V12 Si18 O54'
_cell_length_a 10.0885
_cell_length_b 10.0885
_cell_length_c 12.5763
_cell_angle_alpha 90.00
_cell_angle_beta 90.00
_cell_angle_gamma 120.00
_symmetry_space_group_name_H-M 'P 32'
_symmetry_Int_Tables_number 145
loop_
_symmetry_equiv_pos_as_xyz
'x,y,z'
'-y,x-y,z+2/3'
'-x+y,-x,z+1/3'
loop_
_atom_site_label
_atom_site_type_symbol
_atom_site_fract_x
_atom_site_fract_y
_atom_site_fract_z
Li1 Li 0.0042 0.6779 0.0000
Li2 Li 0.1621 0.5256 0.1039
Li3 Li 0.2003 0.5021 0.5988
Li4 Li 0.5078 0.1352 0.2677
V1 V 0.0054 0.1794 0.7584
V2 V 0.0060 0.6784 0.4968
V3 V 0.2980 0.2962 0.9214
V4 V 0.5022 0.1714 0.7459
Si1 Si 0.0537 0.1971 0.4899
Si2 Si 0.1533 0.5304 0.8355
Si3 Si 0.1683 0.4933 0.3558
Si4 Si 0.2075 0.0464 0.3670
Si5 Si 0.5105 0.1809 0.4876
Si6 Si 0.5173 0.1395 0.0146
O1 O 0.0427 0.3280 0.4140
O2 O 0.0614 0.8742 0.3832
O3 O 0.0627 0.5749 0.3583
O4 O 0.1145 0.2712 0.6063
O5 O 0.1248 0.5702 0.9543
O6 O 0.1628 0.1145 0.8144
O7 O 0.1855 0.1741 0.4316
O8 O 0.1988 0.7947 0.1505
O9 O 0.2346 0.7620 0.5796
O10 O 0.2636 0.1087 0.2463
O11 O 0.2843 0.6939 0.7783
O12 O 0.3558 0.0452 0.4271
O13 O 0.3905 0.1921 0.0322
O14 O 0.4772 0.2505 0.5925
O15 O 0.4827 0.0029 0.0991
O16 O 0.4872 0.3660 0.8178
O17 O 0.5466 0.0989 0.8959
O18 O 0.5997 0.3180 0.3944
```

***

Run ii
Li2V2Si3O9: optimized geometry, GGA+U.

Geometry as CIF:
```
data_Li2V2Si3O9
_chemical_formula_sum 'Li12 V12 Si18 O54'
_cell_length_a 10.1237
_cell_length_b 10.1237
_cell_length_c 12.4626
_cell_angle_alpha 90.00
_cell_angle_beta 90.00
_cell_angle_gamma 120.00
_symmetry_space_group_name_H-M 'P 32'
_symmetry_Int_Tables_number 145
loop_
_symmetry_equiv_pos_as_xyz
'x,y,z'
'-y,x-y,z+2/3'
'-x+y,-x,z+1/3'
loop_
_atom_site_label
_atom_site_type_symbol
_atom_site_fract_x
_atom_site_fract_y
_atom_site_fract_z
Li1 Li 0.0005 0.1571 0.0000
Li2 Li 0.1645 0.0123 0.8322
Li3 Li 0.2069 0.7579 0.1761
Li4 Li 0.3102 0.2680 0.9448
V1 V 0.1528 0.4865 0.3207
V2 V 0.3338 0.3265 0.4082
V3 V 0.3685 0.3342 0.1657
V4 V 0.5000 0.1616 0.0069
Si1 Si 0.0483 0.1839 0.7479
Si2 Si 0.1798 0.0192 0.5927
Si3 Si 0.1819 0.4770 0.5988
Si4 Si 0.1856 0.5011 0.0487
Si5 Si 0.4736 0.1997 0.7413
Si6 Si 0.5060 0.1261 0.2777
O1 O 0.0332 0.3777 0.9802
O2 O 0.0567 0.5315 0.6149
O3 O 0.0743 0.8855 0.1995
O4 O 0.0781 0.0633 0.6751
O5 O 0.1036 0.8327 0.6011
O6 O 0.1323 0.6921 0.3721
O7 O 0.1473 0.5490 0.1609
O8 O 0.1599 0.3570 0.6972
O9 O 0.1895 0.4106 0.4817
O10 O 0.1939 0.0979 0.4781
O11 O 0.2699 0.1271 0.0671
O12 O 0.2797 0.6527 0.9673
O13 O 0.3453 0.0710 0.6541
O14 O 0.3910 0.1661 0.8572
O15 O 0.4671 0.2641 0.2937
O16 O 0.5087 0.3669 0.6989
O17 O 0.5471 0.4448 0.4924
O18 O 0.5565 0.3813 0.0643
```

***

The most stable arrangement is run ii, and the next structure is 0.008 eV/atom less stable.

***

Run i
LiV2Zn2Si2O10: optimized geometry, GGA+U.

Geometry as CIF:
```
data_LiV2Zn2Si2O10
_chemical_formula_sum 'Li1 V2 Zn2 Si2 O10'
_cell_length_a 5.323
_cell_length_b 5.469
_cell_length_c 7.259
_cell_angle_alpha 106.68
_cell_angle_beta 106.34
_cell_angle_gamma 97.07
_symmetry_space_group_name_H-M 'P 1'
_symmetry_Int_Tables_number 1
loop_
_symmetry_equiv_pos_as_xyz
'x,y,z'
loop_
_atom_site_label
_atom_site_type_symbol
_atom_site_fract_x
_atom_site_fract_y
_atom_site_fract_z
Li1 Li 0.000 0.000 0.000
V1 V 0.500 0.999 0.000
V2 V 0.501 0.999 0.500
Zn1 Zn 0.265 0.397 0.320
Zn2 Zn 0.737 0.601 0.681
Si1 Si 0.171 0.375 0.754
Si2 Si 0.830 0.623 0.246
O1 O 0.148 0.740 0.393
O2 O 0.170 0.690 0.853
O3 O 0.258 0.228 0.921
O4 O 0.362 0.339 0.607
O5 O 0.394 0.071 0.232
O6 O 0.607 0.927 0.768
O7 O 0.640 0.659 0.394
O8 O 0.743 0.769 0.080
O9 O 0.832 0.308 0.147
O10 O 0.853 0.258 0.607
```

***

Run ii
LiV2Zn2Si2O10: optimized geometry, GGA+U.

Geometry as CIF:
```
data_LiV2Zn2Si2O10
_chemical_formula_sum 'Li1 V2 Zn2 Si2 O10'
_cell_length_a 5.221
_cell_length_b 5.631
_cell_length_c 7.407
_cell_angle_alpha 108.23
_cell_angle_beta 105.24
_cell_angle_gamma 101.40
_symmetry_space_group_name_H-M 'P 1'
_symmetry_Int_Tables_number 1
loop_
_symmetry_equiv_pos_as_xyz
'x,y,z'
loop_
_atom_site_label
_atom_site_type_symbol
_atom_site_fract_x
_atom_site_fract_y
_atom_site_fract_z
Li1 Li 0.000 0.000 0.000
V1 V 0.004 0.000 0.499
V2 V 0.504 0.500 0.999
Zn1 Zn 0.488 0.881 0.708
Zn2 Zn 0.519 0.119 0.291
Si1 Si 0.072 0.415 0.257
Si2 Si 0.936 0.586 0.742
O1 O 0.168 0.178 0.326
O2 O 0.185 0.704 0.432
O3 O 0.194 0.374 0.070
O4 O 0.282 0.695 0.852
O5 O 0.355 0.188 0.746
O6 O 0.652 0.812 0.253
O7 O 0.726 0.305 0.147
O8 O 0.814 0.626 0.929
O9 O 0.822 0.297 0.566
O10 O 0.839 0.823 0.673
```

***

Run iii
LiV2Zn2Si2O10: optimized geometry, GGA+U.

Geometry as CIF:
```
data_LiV2Zn2Si2O10
_chemical_formula_sum 'Li1 V2 Zn2 Si2 O10'
_cell_length_a 5.403
_cell_length_b 5.508
_cell_length_c 7.349
_cell_angle_alpha 108.07
_cell_angle_beta 109.11
_cell_angle_gamma 94.79
_symmetry_space_group_name_H-M 'P 1'
_symmetry_Int_Tables_number 1
loop_
_symmetry_equiv_pos_as_xyz
'x,y,z'
loop_
_atom_site_label
_atom_site_type_symbol
_atom_site_fract_x
_atom_site_fract_y
_atom_site_fract_z
Li1 Li 0.000 0.000 0.000
V1 V 0.579 0.837 0.097
V2 V 0.582 0.827 0.589
Zn1 Zn 0.365 0.238 0.414
Zn2 Zn 0.838 0.453 0.862
Si1 Si 0.267 0.225 0.854
Si2 Si 0.911 0.458 0.335
O1 O 0.232 0.576 0.483
O2 O 0.260 0.538 0.943
O3 O 0.361 0.102 0.036
O4 O 0.443 0.166 0.705
O5 O 0.504 0.913 0.359
O6 O 0.676 0.760 0.838
O7 O 0.717 0.510 0.471
O8 O 0.816 0.575 0.149
O9 O 0.918 0.143 0.242
O10 O 0.939 0.103 0.736
```

***

Run iv
LiV2Zn2Si2O10: optimized geometry, GGA+U.

Geometry as CIF:
```
data_LiV2Zn2Si2O10
_chemical_formula_sum 'Li1 V2 Zn2 Si2 O10'
_cell_length_a 5.174
_cell_length_b 5.549
_cell_length_c 7.395
_cell_angle_alpha 108.72
_cell_angle_beta 104.15
_cell_angle_gamma 101.90
_symmetry_space_group_name_H-M 'P 1'
_symmetry_Int_Tables_number 1
loop_
_symmetry_equiv_pos_as_xyz
'x,y,z'
loop_
_atom_site_label
_atom_site_type_symbol
_atom_site_fract_x
_atom_site_fract_y
_atom_site_fract_z
Li1 Li 0.000 0.000 0.000
V1 V 0.001 0.002 0.498
V2 V 0.501 0.502 0.998
Zn1 Zn 0.080 0.490 0.292
Zn2 Zn 0.922 0.514 0.703
Si1 Si 0.460 0.118 0.266
Si2 Si 0.543 0.886 0.730
O1 O 0.146 0.299 0.765
O2 O 0.197 0.763 0.614
O3 O 0.322 0.141 0.447
O4 O 0.329 0.325 0.173
O5 O 0.339 0.827 0.081
O6 O 0.663 0.177 0.915
O7 O 0.673 0.679 0.823
O8 O 0.681 0.863 0.549
O9 O 0.806 0.241 0.382
O10 O 0.856 0.706 0.230
```

***

The most stable arrangement is run ii, and the next structure is 0.012 eV/atom less stable.

***

Run i
LiSmW2O8: optimized geometry, GGA+U.

Geometry as CIF:
```
data_LiSmW2O8
_chemical_formula_sum 'Li2 Sm2 W4 O16'
_cell_length_a 7.186
_cell_length_b 7.419
_cell_length_c 7.479
_cell_angle_alpha 113.82
_cell_angle_beta 115.55
_cell_angle_gamma 91.66
_symmetry_space_group_name_H-M 'P -1'
_symmetry_Int_Tables_number 2
loop_
_symmetry_equiv_pos_as_xyz
'x,y,z'
'-x,-y,-z'
loop_
_atom_site_label
_atom_site_type_symbol
_atom_site_fract_x
_atom_site_fract_y
_atom_site_fract_z
Li1 Li 0.247 0.324 0.490
Sm1 Sm 0.316 0.712 0.038
W1 W 0.149 0.106 0.789
W2 W 0.239 0.707 0.469
O1 O 0.019 0.172 0.492
O2 O 0.051 0.460 0.247
O3 O 0.115 0.827 0.237
O4 O 0.209 0.007 0.986
O5 O 0.316 0.636 0.695
O6 O 0.323 0.365 0.942
O7 O 0.366 0.012 0.702
O8 O 0.458 0.694 0.404
```

***

Run ii
LiSmW2O8: optimized geometry, GGA+U.

Geometry as CIF:
```
data_LiSmW2O8
_chemical_formula_sum 'Li2 Sm2 W4 O16'
_cell_length_a 5.290
_cell_length_b 5.290
_cell_length_c 11.366
_cell_angle_alpha 90.00
_cell_angle_beta 90.00
_cell_angle_gamma 90.00
_symmetry_space_group_name_H-M 'I -4'
_symmetry_Int_Tables_number 82
loop_
_symmetry_equiv_pos_as_xyz
'x,y,z'
'y,-x,-z'
'-x,-y,z'
'-y,x,-z'
'x+1/2,y+1/2,z+1/2'
'y+1/2,-x+1/2,-z+1/2'
'-x+1/2,-y+1/2,z+1/2'
'-y+1/2,x+1/2,-z+1/2'
loop_
_atom_site_label
_atom_site_type_symbol
_atom_site_fract_x
_atom_site_fract_y
_atom_site_fract_z
Li1 Li 0.000 0.000 0.000
Sm1 Sm 0.000 0.500 0.250
W1 W 0.000 0.000 0.500
W2 W 0.000 0.500 0.750
O1 O 0.155 0.243 0.411
O2 O 0.159 0.747 0.836
```

***

The most stable arrangement is run i, and the next structure is 0.062 eV/atom less stable.